# 1
USi2: optimized geometry, r2SCAN.

```
USi2
1.0
-1.930 1.930 7.031
1.930 -1.930 7.031
1.930 1.930 -7.031
U Si
2 4
direct
0.375 0.625 0.750 U
0.625 0.375 0.250 U
0.043 0.793 0.250 Si
0.207 0.957 0.250 Si
0.793 0.043 0.750 Si
0.957 0.207 0.750 Si
```

Calculated values
space-group type = I4_1/amd, No. 141

***

# 2
V6Si5: optimized geometry, r2SCAN.

```
V6Si5
1.0
-3.724 7.917 2.401
3.724 -7.917 2.401
3.724 7.917 -2.401
V Si
12 10
direct
0.060 0.250 0.810 V
0.065 0.247 0.312 V
0.143 0.614 0.758 V
0.357 0.114 0.471 V
0.435 0.747 0.182 V
0.440 0.250 0.190 V
0.560 0.750 0.810 V
0.565 0.253 0.818 V
0.643 0.886 0.529 V
0.857 0.386 0.242 V
0.935 0.753 0.688 V
0.940 0.750 0.190 V
0.063 0.910 0.974 Si
0.214 0.297 0.512 Si
0.250 0.750 0.500 Si
0.286 0.797 0.083 Si
0.437 0.410 0.847 Si
0.563 0.590 0.153 Si
0.714 0.203 0.917 Si
0.750 0.250 0.500 Si
0.786 0.703 0.488 Si
0.937 0.090 0.026 Si
```

Calculated values
space-group type = Ibam, No. 72

***

# 3
Si2W: optimized geometry, r2SCAN.

```
Si2W
1.0
-1.607 1.607 3.901
1.607 -1.607 3.901
1.607 1.607 -3.901
Si W
2 1
direct
0.165 0.165 0.000 Si
0.835 0.835 0.000 Si
0.500 0.500 0.000 W
```

Calculated values
space-group type = I4/mmm, No. 139

***

# 4
YSi: optimized geometry, r2SCAN.

```
YSi
1.0
2.143 -5.284 0.000
2.143 5.284 0.000
0.000 0.000 3.834
Y Si
2 2
direct
0.141 0.859 0.750 Y
0.859 0.141 0.250 Y
0.424 0.576 0.750 Si
0.576 0.424 0.250 Si
```

Calculated values
space-group type = Cmcm, No. 63

***

# 5
YSi2: optimized geometry, r2SCAN.

```
YSi2
1.0
2.807 -2.806 0.000
2.807 2.806 0.000
-2.703 0.000 7.314
Y Si
2 4
direct
0.126 0.874 0.750 Y
0.874 0.126 0.250 Y
0.291 0.543 0.085 Si
0.457 0.709 0.415 Si
0.543 0.291 0.585 Si
0.709 0.457 0.915 Si
```

Calculated values
space-group type = C2/c, No. 15

***

# 6
Y5Si4: optimized geometry, r2SCAN.

```
Y5Si4
1.0
14.670 0.000 0.000
0.000 7.677 0.000
-0.561 0.000 7.509
Y Si
20 16
direct
0.101 0.180 0.492 Y
0.101 0.320 0.992 Y
0.118 0.663 0.641 Y
0.118 0.837 0.141 Y
0.246 0.004 0.826 Y
0.246 0.496 0.326 Y
0.379 0.678 0.675 Y
0.379 0.822 0.175 Y
0.399 0.184 0.525 Y
0.399 0.316 0.025 Y
0.601 0.684 0.975 Y
0.601 0.816 0.475 Y
0.621 0.178 0.825 Y
0.621 0.322 0.325 Y
0.754 0.504 0.674 Y
0.754 0.996 0.174 Y
0.882 0.163 0.859 Y
0.882 0.337 0.359 Y
0.899 0.680 0.008 Y
0.899 0.820 0.508 Y
0.044 0.533 0.290 Si
0.044 0.967 0.790 Si
0.252 0.129 0.213 Si
0.252 0.371 0.713 Si
0.252 0.609 0.953 Si
0.252 0.891 0.453 Si
0.458 0.526 0.358 Si
0.458 0.974 0.858 Si
0.542 0.026 0.142 Si
0.542 0.474 0.642 Si
0.748 0.109 0.547 Si
0.748 0.391 0.047 Si
0.748 0.629 0.287 Si
0.748 0.871 0.787 Si
0.956 0.033 0.210 Si
0.956 0.467 0.710 Si
```

Calculated values
space-group type = P2_1/c, No. 14

***

no.,mass density (g/cm3),ΔE_f (eV per atom)
1,9.33,-0.276
2,5.23,-0.558
3,9.89,-0.300
4,4.47,-0.898
5,4.18,-0.560
6,4.37,-0.837